A geometry-optimized Ba3Ru3N5 structure. Source: the Materials Project, functional GGA-PBE.

Geometry as POSCAR:
```
Ba3Ru3N5
1.0
-1.452 4.563 -3.814
2.917 -5.713 -5.001
-8.044 -3.291 2.885
Ru Ba N
6 6 10
Cartesian
-2.832 -4.384 -5.890
-3.748 -0.057 -0.039
1.692 -3.348 -3.701
-3.051 -6.653 -2.562
-3.528 2.212 -3.367
-8.272 -1.093 -2.227
-1.804 -3.440 -2.673
-4.775 -1.001 -3.256
-0.827 -1.545 -5.635
-5.753 -2.896 -0.294
-5.503 -4.832 -4.280
-1.077 0.391 -1.648
-4.814 -6.554 -1.949
-7.027 -2.619 -2.838
-1.766 2.113 -3.979
-3.962 1.366 -1.692
-3.207 -1.722 -1.052
0.447 -1.822 -3.091
-3.372 -2.719 -4.877
-7.079 0.259 -1.707
0.499 -4.700 -4.222
-2.618 -5.807 -4.237
```

Its symmetry is P-1 (2). The value obtained for the total magnetization is 0.0 μB/f.u. The value obtained for the calculated volume is 18.40 A^3/atom. The calculation puts the calculated density at 6.442 Mg/m³. As for the formation energy: -0.389 eV per atom. The MP2020-corrected energy is -159.08 eV for the cell shown.